Mo4C3, relaxed, DFT PBE; magnetic moment = 0.01 μB per cell; formation energy from the elements = 0.0974 eV per atom
1.0
-6.920 -4.182 -5.674
-4.824 -6.463 -5.703
-6.857 -6.257 -3.376
Mo C
4 3
direct
0.375 0.375 0.375 Mo
0.625 0.625 0.625 Mo
0.878 0.878 0.878 Mo
0.122 0.122 0.122 Mo
0.500 0.500 0.500 C
0.744 0.744 0.744 C
0.256 0.256 0.256 C


PaV, relaxed, DFT PBE; magnetic moment = 0.02 μB per cell; formation energy from the elements = 0.4092 eV per atom; distance to the lowest polymorph of the same formula = 0 meV/atom
1.0
-2.737 0.019 1.355
0.248 -0.808 -2.966
0.694 -4.467 1.282
V Pa
1 1
direct
0.342 0.675 0.250 V
0.658 0.325 0.750 Pa


BaNa2O2, relaxed, DFT PBE; magnetic moment = 0.00 μB per cell; piezoelectric modulus e_max = 0.58 C/m²; formation energy from the elements = -1.9310 eV per atom; distance to the lowest polymorph of the same formula = 0 meV/atom
1.0
1.902 -6.601 0.000
1.902 6.601 0.000
0.000 0.000 7.873
O Na Ba
4 4 2
direct
0.456 0.544 0.070 O
0.544 0.456 0.570 O
0.812 0.188 0.411 O
0.188 0.812 0.911 O
0.056 0.944 0.110 Na
0.424 0.576 0.357 Na
0.944 0.056 0.610 Na
0.576 0.424 0.857 Na
0.193 0.807 0.566 Ba
0.807 0.193 0.066 Ba


NdGe2Pd2, relaxed, DFT PBE; formation energy from the elements = -0.8360 eV per atom
1.0
4.344 0.000 0.000
0.000 4.344 0.000
-2.172 -2.172 5.118
Ge Pd Nd
2 2 1
direct
0.622 0.622 0.244 Ge
0.378 0.378 0.756 Ge
0.750 0.250 0.500 Pd
0.250 0.750 0.500 Pd
0.000 0.000 0.000 Nd


CeSe2, relaxed, DFT PBE; magnetic moment = 0.00 μB per cell; formation energy from the elements = -1.8537 eV per atom
1.0
-5.118 -3.925 -10.423
-6.652 -6.858 -7.678
-8.650 -3.077 -8.121
Se Ce
4 2
direct
0.623 0.623 0.623 Se
0.377 0.377 0.377 Se
0.210 0.210 0.210 Se
0.790 0.790 0.790 Se
0.084 0.084 0.084 Ce
0.916 0.916 0.916 Ce


Mg7Si4, relaxed, DFT PBE; magnetic moment = 0.00 μB per cell; formation energy from the elements = 0.1743 eV per atom; distance to the lowest polymorph of the same formula = 124 meV/atom
1.0
3.291 0.000 0.000
0.043 9.263 0.000
0.117 0.955 14.280
Mg Si
14 8
direct
0.131 0.893 0.577 Mg
0.623 0.939 0.126 Mg
0.149 0.798 0.957 Mg
0.587 0.004 0.386 Mg
0.145 0.454 0.506 Mg
0.646 0.606 0.648 Mg
0.641 0.701 0.431 Mg
0.643 0.844 0.770 Mg
0.641 0.185 0.578 Mg
0.140 0.218 0.051 Mg
0.655 0.496 0.969 Mg
0.633 0.419 0.171 Mg
0.648 0.314 0.364 Mg
0.645 0.077 0.902 Mg
0.115 0.148 0.240 Si
0.139 0.551 0.304 Si
0.146 0.318 0.856 Si
0.155 0.594 0.818 Si
0.119 0.675 0.138 Si
0.150 0.359 0.691 Si
0.117 0.816 0.282 Si
0.138 0.087 0.732 Si


Cu3As, relaxed, DFT PBE; formation energy from the elements = 0.0487 eV per atom
1.0
3.100 3.449 2.571
-4.151 1.743 -2.801
-2.502 -0.351 3.489
Cu As
6 2
direct
0.163 0.326 0.250 Cu
0.837 0.674 0.750 Cu
0.326 0.163 0.750 Cu
0.837 0.163 0.750 Cu
0.163 0.837 0.250 Cu
0.674 0.837 0.250 Cu
0.667 0.333 0.250 As
0.333 0.667 0.750 As


SiO2, relaxed, DFT PBE; formation energy from the elements = -3.2641 eV per atom
1.0
4.740 -8.324 1.740
6.988 -4.877 4.708
-10.845 -9.603 19.368
Si O
24 48
direct
0.781 0.663 0.295 Si
0.484 0.407 0.819 Si
0.119 0.026 0.458 Si
0.026 0.119 0.958 Si
0.663 0.781 0.795 Si
0.613 0.520 0.384 Si
0.148 0.253 0.518 Si
0.507 0.588 0.191 Si
0.367 0.468 0.133 Si
0.468 0.367 0.633 Si
0.320 0.204 0.217 Si
0.103 0.182 0.152 Si
0.204 0.320 0.717 Si
0.407 0.484 0.319 Si
0.812 0.888 0.353 Si
0.520 0.613 0.884 Si
0.872 0.972 0.058 Si
0.852 0.747 0.989 Si
0.588 0.507 0.691 Si
0.972 0.872 0.558 Si
0.747 0.852 0.489 Si
0.253 0.148 0.018 Si
0.888 0.812 0.853 Si
0.182 0.103 0.652 Si
0.874 0.585 0.512 O
0.218 0.916 0.907 O
0.207 0.236 0.666 O
0.342 0.359 0.691 O
0.723 0.420 0.936 O
0.762 0.057 0.613 O
0.239 0.919 0.189 O
0.919 0.239 0.689 O
0.266 0.562 0.581 O
0.474 0.528 0.756 O
0.859 0.862 0.524 O
0.482 0.498 0.368 O
0.562 0.266 0.081 O
0.004 0.004 0.015 O
0.916 0.218 0.407 O
0.156 0.142 0.975 O
0.486 0.505 0.148 O
0.498 0.482 0.868 O
0.151 0.154 0.084 O
0.751 0.077 0.819 O
0.212 0.539 0.833 O
0.889 0.609 0.740 O
0.585 0.874 0.012 O
0.539 0.212 0.333 O
0.837 0.840 0.422 O
0.236 0.207 0.166 O
0.089 0.369 0.271 O
0.793 0.750 0.339 O
0.004 0.004 0.515 O
0.127 0.416 0.000 O
0.609 0.889 0.240 O
0.528 0.474 0.256 O
0.057 0.762 0.113 O
0.635 0.636 0.828 O
0.154 0.151 0.584 O
0.359 0.342 0.191 O
0.505 0.486 0.648 O
0.840 0.837 0.922 O
0.369 0.089 0.771 O
0.750 0.793 0.839 O
0.636 0.635 0.328 O
0.777 0.457 0.171 O
0.862 0.859 0.024 O
0.077 0.751 0.319 O
0.420 0.723 0.436 O
0.457 0.777 0.671 O
0.142 0.156 0.475 O
0.416 0.127 0.500 O


Na4TiP2O9, relaxed, DFT PBE; magnetic moment = 0.00 μB per cell; formation energy from the elements = -2.7865 eV per atom; distance to the lowest polymorph of the same formula = 2 meV/atom
1.0
-4.359 -2.230 7.148
3.113 -4.718 -6.567
6.576 -0.866 3.740
P Na O Ti
4 8 18 2
direct
0.880 0.120 0.759 P
0.120 0.880 0.241 P
0.620 0.380 0.759 P
0.380 0.620 0.241 P
0.000 0.500 0.000 Na
0.114 0.886 0.764 Na
0.614 0.386 0.236 Na
0.250 0.250 0.500 Na
0.386 0.614 0.764 Na
0.886 0.114 0.236 Na
0.750 0.750 0.500 Na
0.500 0.000 0.000 Na
0.974 0.026 0.710 O
0.645 0.355 0.953 O
0.657 0.976 0.673 O
0.145 0.855 0.047 O
0.524 0.843 0.327 O
0.526 0.474 0.710 O
0.355 0.645 0.047 O
0.976 0.657 0.327 O
0.343 0.024 0.327 O
0.750 0.250 0.407 O
0.157 0.476 0.327 O
0.855 0.145 0.953 O
0.026 0.974 0.290 O
0.474 0.526 0.290 O
0.250 0.750 0.593 O
0.024 0.343 0.673 O
0.843 0.524 0.673 O
0.476 0.157 0.673 O
0.000 0.500 0.500 Ti
0.500 0.000 0.500 Ti


Gd2CI, relaxed, DFT PBE; formation energy from the elements = -0.8530 eV per atom
1.0
1.906 -3.301 0.000
1.906 3.301 0.000
0.000 0.000 14.993
I C Gd
2 2 4
direct
0.333 0.667 0.750 I
0.667 0.333 0.250 I
0.000 0.000 0.500 C
0.000 0.000 0.000 C
0.333 0.667 0.415 Gd
0.667 0.333 0.585 Gd
0.333 0.667 0.085 Gd
0.667 0.333 0.915 Gd


SmMgMoS4, relaxed, DFT PBE; magnetic moment = 5.97 μB per cell; formation energy from the elements = -1.4661 eV per atom
1.0
-7.173 1.833 2.445
-5.882 -4.829 -1.203
-3.190 -3.779 5.909
S Mg Mo Sm
8 2 2 2
direct
0.733 0.265 0.769 S
0.287 0.243 0.243 S
0.267 0.735 0.231 S
0.274 0.757 0.757 S
0.713 0.757 0.757 S
0.726 0.243 0.243 S
0.733 0.769 0.265 S
0.267 0.231 0.735 S
0.873 0.877 0.877 Mg
0.127 0.123 0.123 Mg
0.500 0.500 0.000 Mo
0.500 0.000 0.500 Mo
0.000 0.500 0.500 Sm
0.500 0.500 0.500 Sm


MnHg3, relaxed, DFT PBE; magnetic moment = 4.13 μB per cell; formation energy from the elements = 0.2944 eV per atom
1.0
4.418 0.000 0.000
0.000 4.418 0.000
0.000 0.000 4.418
Hg Mn
3 1
direct
0.000 0.500 0.500 Hg
0.500 0.000 0.500 Hg
0.500 0.500 0.000 Hg
0.000 0.000 0.000 Mn